# Li9Mn2Co5O16 | Materials Project | GGA+U | relaxed
# Polymorph energy (0 for the lowest one) (meV per atom): 55
# E_tot (eV/atom): -5.800
# Total magnetization (μB per cell): 14.00
data_Li9Mn2Co5O16
_space_group_name_H-M_alt 'P 1'
_space_group_IT_number 1
_space_group_name_Hall 'P 1'
_cell_length_a 2.9514
_cell_length_b 5.0885
_cell_length_c 19.9131
_cell_angle_alpha 92.27
_cell_angle_beta 92.62
_cell_angle_gamma 104.26
loop_
_atom_site_label
_atom_site_fract_x
_atom_site_fract_y
_atom_site_fract_z
Li1 0.0000 0.0000 0.0000
Li2 0.0513 0.2928 0.8158
Li3 0.1715 0.9257 0.4381
Li4 0.2655 0.5383 0.0573
Li5 0.4224 0.1746 0.6884
Li6 0.5461 0.7944 0.3136
Li7 0.6777 0.4123 0.9402
Li8 0.7994 0.0438 0.5655
Li9 0.9335 0.6821 0.1878
Mn1 0.4759 0.4831 0.5028
Mn2 0.6086 0.1156 0.1201
Co1 0.1204 0.6128 0.6271
Co2 0.2275 0.2320 0.2498
Co3 0.3629 0.8572 0.8818
Co4 0.7440 0.7353 0.7525
Co5 0.8541 0.3537 0.3759
O1 0.0324 0.1128 0.9036
O2 0.0951 0.4760 0.7162
O3 0.1582 0.7508 0.5367
O4 0.2085 0.0966 0.3449
O5 0.2268 0.3607 0.1539
O6 0.3243 0.7087 0.9591
O7 0.3848 0.9896 0.7872
O8 0.4350 0.3481 0.5939
O9 0.5030 0.6175 0.4096
O10 0.5723 0.9762 0.2166
O11 0.6438 0.2654 0.0380
O12 0.6829 0.5997 0.8429
O13 0.7952 0.2158 0.4696
O14 0.7995 0.8725 0.6595
O15 0.8871 0.4948 0.2820
O16 0.9950 0.8697 0.0979

---

# Li9Mn2Co5O16 | Materials Project | GGA+U | relaxed
# Polymorph energy (0 for the lowest one) (meV per atom): 54
# E_tot (eV/atom): -5.800
# Total magnetization (μB per cell): 16.00
data_Li9Mn2Co5O16
_space_group_name_H-M_alt 'P -1'
_space_group_IT_number 2
_space_group_name_Hall '-P 1'
_cell_length_a 5.1770
_cell_length_b 5.8888
_cell_length_c 10.2769
_cell_angle_alpha 104.20
_cell_angle_beta 95.30
_cell_angle_gamma 109.18
loop_
_atom_site_label
_atom_site_fract_x
_atom_site_fract_y
_atom_site_fract_z
Li1 0.0000 0.0000 0.0000
Li2 0.4943 0.4249 0.1189
Li3 0.4983 0.3161 0.3736
Li4 0.4998 0.0605 0.8805
Li5 0.5005 0.1897 0.6239
Mn1 0.0001 0.1250 0.7546
Co1 0.0000 0.5000 0.0000
Co2 0.0022 0.2480 0.4996
Co3 0.0058 0.3717 0.2473
O1 0.2100 0.9068 0.6874
O2 0.2150 0.6615 0.1896
O3 0.2174 0.7487 0.9278
O4 0.2225 0.5085 0.4314
O5 0.2275 0.3862 0.6789
O6 0.2298 0.0071 0.4328
O7 0.2388 0.2727 0.9250
O8 0.2410 0.1423 0.1932

---

# Li4Mn2Si4O13 | Materials Project | GGA+U | relaxed
# E_tot (eV/atom): -7.079
# Total magnetization (μB per cell): 32.00
data_Li4Mn2Si4O13
_space_group_name_H-M_alt 'P n a 21'
_space_group_IT_number 33
_space_group_name_Hall 'P 2c -2n'
_cell_length_a 14.1707
_cell_length_b 4.9437
_cell_length_c 14.2528
_cell_angle_alpha 90.00
_cell_angle_beta 90.00
_cell_angle_gamma 90.00
loop_
_atom_site_label
_atom_site_fract_x
_atom_site_fract_y
_atom_site_fract_z
Li1 0.0393 0.1820 0.0000
Li2 0.1135 0.6830 0.3048
Li3 0.1278 0.6631 0.1131
Li4 0.2100 0.2499 0.3890
Mn1 0.0770 0.3549 0.5978
Mn2 0.1769 0.1856 0.8039
Si1 0.0176 0.1555 0.2186
Si2 0.0682 0.6948 0.9034
Si3 0.1839 0.8526 0.5016
Si4 0.2241 0.1782 0.1840
O1 0.0215 0.2120 0.3330
O2 0.0234 0.4426 0.1638
O3 0.0433 0.7795 0.0109
O4 0.0658 0.0548 0.6927
O5 0.0831 0.3702 0.8872
O6 0.0894 0.6761 0.5224
O7 0.1224 0.0014 0.1981
O8 0.1622 0.8655 0.8744
O9 0.1698 0.1772 0.5216
O10 0.1902 0.4767 0.7105
O11 0.2084 0.8332 0.3901
O12 0.2130 0.4573 0.2443
O13 0.2262 0.2552 0.0708

---

# LiCo3O6 | Materials Project | GGA+U | relaxed
# Polymorph energy (0 for the lowest one) (meV per atom): 0
# E_tot (eV/atom): -5.763
data_LiCo3O6
_space_group_name_H-M_alt 'C 1 2 1'
_space_group_IT_number 5
_space_group_name_Hall 'C 2y'
_cell_length_a 10.0655
_cell_length_b 8.4396
_cell_length_c 4.8941
_cell_angle_alpha 90.00
_cell_angle_beta 99.16
_cell_angle_gamma 90.00
loop_
_atom_site_label
_atom_site_fract_x
_atom_site_fract_y
_atom_site_fract_z
Li1 0.2499 0.0000 0.2497
Co1 0.0000 0.0004 0.5000
Co2 0.0000 0.1685 0.0000
Co3 0.0000 0.3339 0.5000
Co4 0.0000 0.5016 0.0000
Co5 0.0000 0.6689 0.5000
Co6 0.0000 0.8337 0.0000
O1 0.0974 0.0022 0.8695
O2 0.0973 0.3378 0.8655
O3 0.0977 0.1632 0.3612
O4 0.0977 0.5032 0.3695
O5 0.0984 0.8372 0.3649
O6 0.0989 0.6637 0.8609

---

# Mo3H8C4SN2Cl6O7 | Materials Project | GGA+U | relaxed
# E_tot (eV/atom): -5.669
# Total magnetization (μB per cell): 0.00
data_Mo3H8C4SN2Cl6O7
_space_group_name_H-M_alt 'P 1 21/c 1'
_space_group_IT_number 14
_space_group_name_Hall '-P 2ybc'
_cell_length_a 11.0354
_cell_length_b 15.3094
_cell_length_c 12.6111
_cell_angle_alpha 90.00
_cell_angle_beta 90.36
_cell_angle_gamma 90.00
loop_
_atom_site_label
_atom_site_fract_x
_atom_site_fract_y
_atom_site_fract_z
Mo1 0.0522 0.2183 0.0511
Mo2 0.2417 0.1077 0.5711
Mo3 0.3509 0.1893 0.0721
H1 0.0312 0.5778 0.1487
H2 0.1933 0.0195 0.8669
H3 0.1941 0.5931 0.8398
H4 0.2107 0.7441 0.7461
H5 0.2239 0.7368 0.6078
H6 0.3617 0.6252 0.5382
H7 0.3939 0.5366 0.6218
H8 0.4517 0.6408 0.1080
C1 0.0233 0.1130 0.4113
C2 0.1937 0.0748 0.9227
C3 0.3005 0.6359 0.6916
C4 0.4739 0.1609 0.4451
S1 0.3132 0.5843 0.8162
N1 0.2409 0.7106 0.6809
N2 0.3560 0.5971 0.6115
Cl1 0.0549 0.1525 0.6780
Cl2 0.1516 0.6709 0.3959
Cl3 0.1820 0.1285 0.1835
Cl4 0.2653 0.5354 0.1500
Cl5 0.3820 0.1907 0.7033
Cl6 0.4950 0.5972 0.3549
O1 0.0153 0.6890 0.0646
O2 0.0932 0.1104 0.9441
O3 0.1147 0.0721 0.4490
O4 0.2249 0.2356 0.5161
O5 0.2997 0.0956 0.9591
O6 0.3998 0.1016 0.4707
O7 0.4746 0.2416 0.4735

---

# Li3FeP2O8 | Materials Project | GGA+U | relaxed
# Polymorph energy (0 for the lowest one) (meV per atom): 20
# E_tot (eV/atom): -6.603
# Total magnetization (μB per cell): 10.00
data_Li3FeP2O8
_space_group_name_H-M_alt 'P 1 21/c 1'
_space_group_IT_number 14
_space_group_name_Hall '-P 2ybc'
_cell_length_a 4.9217
_cell_length_b 8.8314
_cell_length_c 7.8539
_cell_angle_alpha 90.00
_cell_angle_beta 124.35
_cell_angle_gamma 90.00
loop_
_atom_site_label
_atom_site_fract_x
_atom_site_fract_y
_atom_site_fract_z
Li1 0.0000 0.0000 0.0000
Li2 0.3239 0.1400 0.8094
Fe1 0.5000 0.0000 0.5000
P1 0.1930 0.6811 0.2212
O1 0.1449 0.1315 0.4759
O2 0.1740 0.6434 0.7458
O3 0.2573 0.5983 0.4101
O4 0.4752 0.6445 0.1911

---

# VHO3 | Materials Project | GGA+U | relaxed
# E_tot (eV/atom): -6.635
# Total magnetization (μB per cell): 0.00
data_VHO3
_space_group_name_H-M_alt 'P 1'
_space_group_IT_number 1
_space_group_name_Hall 'P 1'
_cell_length_a 3.6732
_cell_length_b 6.1825
_cell_length_c 12.1112
_cell_angle_alpha 85.69
_cell_angle_beta 89.36
_cell_angle_gamma 72.92
loop_
_atom_site_label
_atom_site_fract_x
_atom_site_fract_y
_atom_site_fract_z
V1 0.0000 0.0000 0.0000
V2 0.1462 0.7183 0.7328
V3 0.2935 0.4135 0.9984
V4 0.4404 0.1329 0.7321
H1 0.3390 0.8556 0.3978
H2 0.6815 0.6485 0.3746
H3 0.6876 0.2471 0.3710
H4 0.9483 0.3261 0.2852
O1 0.0160 0.9601 0.1319
O2 0.1444 0.7134 0.9495
O3 0.1519 0.7161 0.6009
O4 0.2877 0.4116 0.1313
O5 0.2959 0.4180 0.7844
O6 0.4239 0.1765 0.6003
O7 0.4638 0.0746 0.9639
O8 0.6024 0.8161 0.3745
O9 0.6089 0.7916 0.7601
O10 0.8302 0.3417 0.9721
O11 0.8636 0.3388 0.3616
O12 0.9765 0.0577 0.7681

---

# MgCo6O8F4 | Materials Project | GGA+U | relaxed
# Polymorph energy (0 for the lowest one) (meV per atom): 4
# E_tot (eV/atom): -5.512
# Total magnetization (μB per cell): 18.00
data_MgCo6O8F4
_space_group_name_H-M_alt 'P 1'
_space_group_IT_number 1
_space_group_name_Hall 'P 1'
_cell_length_a 5.6575
_cell_length_b 5.8233
_cell_length_c 7.5647
_cell_angle_alpha 107.00
_cell_angle_beta 97.88
_cell_angle_gamma 114.75
loop_
_atom_site_label
_atom_site_fract_x
_atom_site_fract_y
_atom_site_fract_z
Mg1 0.0000 0.0000 0.0000
Co1 0.0157 0.5070 0.9940
Co2 0.0276 0.0135 0.4989
Co3 0.3641 0.5375 0.3509
Co4 0.3758 0.9672 0.8065
Co5 0.6577 0.1089 0.2275
Co6 0.7013 0.4790 0.6587
O1 0.0522 0.1905 0.2966
O2 0.2978 0.8640 0.0197
O3 0.3924 0.1518 0.6331
O4 0.6072 0.3698 0.3885
O5 0.6509 0.8526 0.3553
O6 0.7369 0.1618 0.9819
O7 0.7623 0.6029 0.9231
O8 0.9962 0.8377 0.7007
F1 0.0998 0.6865 0.2971
F2 0.2785 0.3795 0.0477
F3 0.4372 0.6681 0.6352
F4 0.9683 0.3160 0.6930

---

Number 1: E_form -1809 meV/atom. Number 2: E_form -1810 meV/atom. Number 3: E_form -2744 meV/atom. Number 4: E_form -1375 meV/atom. Number 5: E_form -888 meV/atom. Number 6: E_form -2542 meV/atom. Number 7: E_form -1923 meV/atom. Number 8: E_form -1600 meV/atom.